{
  "formula": "Fe2Mo3O12",
  "functional": "PBE+U",
  "state": "optimized geometry",
  "ef_mev_per_atom": -1894,
  "volume_a3_per_fu": 285.6,
  "e_above_lowest_polymorph_mev_per_atom": 3.2,
  "sg": "P2_1",
  "magmom_total_mub_per_cell": 80.06,
  "lattice_angstrom": [[16.010, 0.000, 0.000], [0.000, 9.410, 0.000], [-5.323, 0.000, 15.165]],
  "species": ["Fe", "Fe", "Fe", "Fe", "Fe", "Fe", "Fe", "Fe", "Fe", "Fe", "Fe", "Fe", "Fe", "Fe", "Fe", "Fe", "Mo", "Mo", "Mo", "Mo", "Mo", "Mo", "Mo", "Mo", "Mo", "Mo", "Mo", "Mo", "Mo", "Mo", "Mo", "Mo", "Mo", "Mo", "Mo", "Mo", "Mo", "Mo", "Mo", "Mo", "O", "O", "O", "O", "O", "O", "O", "O", "O", "O", "O", "O", "O", "O", "O", "O", "O", "O", "O", "O", "O", "O", "O", "O", "O", "O", "O", "O", "O", "O", "O", "O", "O", "O", "O", "O", "O", "O", "O", "O", "O", "O", "O", "O", "O", "O", "O", "O", "O", "O", "O", "O", "O", "O", "O", "O", "O", "O", "O", "O", "O", "O", "O", "O", "O", "O", "O", "O", "O", "O", "O", "O", "O", "O", "O", "O", "O", "O", "O", "O", "O", "O", "O", "O", "O", "O", "O", "O", "O", "O", "O", "O", "O", "O", "O", "O"],
  "fractional_positions": [[0.059, 0.000, 0.416], [0.074, 0.442, 0.954], [0.183, 0.009, 0.816], [0.188, 0.449, 0.320], [0.312, 0.518, 0.682], [0.317, 0.957, 0.186], [0.423, 0.523, 0.046], [0.439, 0.966, 0.584], [0.561, 0.466, 0.416], [0.577, 0.023, 0.954], [0.683, 0.457, 0.814], [0.688, 0.018, 0.318], [0.812, 0.949, 0.680], [0.817, 0.509, 0.184], [0.926, 0.942, 0.046], [0.941, 0.500, 0.584], [0.017, 0.868, 0.616], [0.028, 0.610, 0.138], [0.112, 0.114, 0.213], [0.140, 0.369, 0.751], [0.232, 0.740, 0.981], [0.243, 0.735, 0.488], [0.255, 0.229, 0.513], [0.267, 0.228, 0.020], [0.360, 0.594, 0.249], [0.388, 0.855, 0.787], [0.475, 0.356, 0.865], [0.486, 0.099, 0.387], [0.514, 0.599, 0.613], [0.525, 0.856, 0.135], [0.612, 0.355, 0.213], [0.640, 0.094, 0.751], [0.733, 0.728, 0.980], [0.745, 0.729, 0.487], [0.757, 0.235, 0.512], [0.768, 0.240, 0.019], [0.860, 0.869, 0.249], [0.888, 0.614, 0.787], [0.972, 0.110, 0.862], [0.983, 0.368, 0.384], [0.014, 0.084, 0.120], [0.016, 0.787, 0.094], [0.017, 0.677, 0.610], [0.017, 0.948, 0.515], [0.032, 0.483, 0.056], [0.036, 0.375, 0.663], [0.066, 0.074, 0.828], [0.080, 0.427, 0.361], [0.095, 0.050, 0.311], [0.116, 0.921, 0.701], [0.123, 0.406, 0.854], [0.125, 0.600, 0.235], [0.133, 0.301, 0.227], [0.143, 0.835, 0.442], [0.159, 0.118, 0.498], [0.163, 0.295, 0.024], [0.164, 0.597, 0.996], [0.174, 0.827, 0.879], [0.188, 0.196, 0.755], [0.205, 0.023, 0.199], [0.213, 0.498, 0.731], [0.243, 0.591, 0.416], [0.245, 0.102, 0.932], [0.247, 0.668, 0.594], [0.249, 0.296, 0.407], [0.250, 0.865, 0.069], [0.256, 0.369, 0.589], [0.291, 0.466, 0.277], [0.299, 0.945, 0.810], [0.314, 0.769, 0.246], [0.324, 0.138, 0.120], [0.333, 0.369, 0.999], [0.337, 0.675, 0.977], [0.338, 0.845, 0.502], [0.354, 0.128, 0.555], [0.366, 0.668, 0.773], [0.367, 0.554, 0.142], [0.377, 0.370, 0.770], [0.388, 0.044, 0.302], [0.395, 0.922, 0.685], [0.417, 0.540, 0.637], [0.432, 0.893, 0.170], [0.469, 0.588, 0.329], [0.472, 0.479, 0.949], [0.486, 0.177, 0.905], [0.487, 0.290, 0.391], [0.489, 0.025, 0.491], [0.491, 0.885, 0.874], [0.509, 0.385, 0.126], [0.511, 0.525, 0.509], [0.513, 0.790, 0.609], [0.514, 0.677, 0.095], [0.528, 0.979, 0.051], [0.531, 0.088, 0.671], [0.568, 0.393, 0.830], [0.583, 0.040, 0.363], [0.605, 0.422, 0.315], [0.612, 0.544, 0.698], [0.623, 0.870, 0.230], [0.633, 0.054, 0.858], [0.634, 0.168, 0.227], [0.646, 0.628, 0.445], [0.662, 0.345, 0.498], [0.663, 0.175, 0.023], [0.667, 0.869, 0.001], [0.676, 0.638, 0.880], [0.686, 0.269, 0.754], [0.701, 0.445, 0.190], [0.709, 0.966, 0.723], [0.744, 0.869, 0.411], [0.750, 0.365, 0.931], [0.751, 0.796, 0.593], [0.753, 0.168, 0.406], [0.755, 0.602, 0.068], [0.757, 0.091, 0.584], [0.787, 0.998, 0.269], [0.795, 0.523, 0.801], [0.812, 0.696, 0.245], [0.826, 0.327, 0.121], [0.836, 0.097, 0.004], [0.837, 0.795, 0.976], [0.841, 0.618, 0.502], [0.857, 0.335, 0.558], [0.867, 0.801, 0.773], [0.875, 0.100, 0.765], [0.877, 0.906, 0.146], [0.884, 0.421, 0.299], [0.905, 0.550, 0.689], [0.920, 0.927, 0.639], [0.934, 0.574, 0.172], [0.964, 0.875, 0.337], [0.968, 0.983, 0.944], [0.983, 0.177, 0.390], [0.983, 0.448, 0.485], [0.984, 0.287, 0.906], [0.986, 0.584, 0.880]]
}


{
  "formula": "FeMoO",
  "functional": "PBE+U",
  "state": "optimized geometry",
  "ef_mev_per_atom": 187,
  "volume_a3_per_fu": 37.2,
  "sg": "P3m1",
  "magmom_total_mub_per_cell": 6.00,
  "lattice_angstrom": [[2.905, 0.000, 0.000], [-1.453, 2.516, 0.000], [0.000, 0.000, 5.095]],
  "species": ["Fe", "Mo", "O"],
  "fractional_positions": [[0.000, 0.000, 0.000], [0.667, 0.333, 0.424], [0.333, 0.667, 0.703]]
}


{
  "formula": "Fe2Mo3O12",
  "functional": "PBE+U",
  "state": "optimized geometry",
  "ef_mev_per_atom": -1896,
  "volume_a3_per_fu": 295.8,
  "e_above_lowest_polymorph_mev_per_atom": 1.5,
  "sg": "P2_1/c",
  "magmom_total_mub_per_cell": 80.06,
  "lattice_angstrom": [[16.243, 0.000, 0.000], [0.000, 9.525, 0.000], [-5.290, 0.000, 15.295]],
  "species": ["Fe", "Fe", "Fe", "Fe", "Fe", "Fe", "Fe", "Fe", "Fe", "Fe", "Fe", "Fe", "Fe", "Fe", "Fe", "Fe", "Mo", "Mo", "Mo", "Mo", "Mo", "Mo", "Mo", "Mo", "Mo", "Mo", "Mo", "Mo", "Mo", "Mo", "Mo", "Mo", "Mo", "Mo", "Mo", "Mo", "Mo", "Mo", "Mo", "Mo", "O", "O", "O", "O", "O", "O", "O", "O", "O", "O", "O", "O", "O", "O", "O", "O", "O", "O", "O", "O", "O", "O", "O", "O", "O", "O", "O", "O", "O", "O", "O", "O", "O", "O", "O", "O", "O", "O", "O", "O", "O", "O", "O", "O", "O", "O", "O", "O", "O", "O", "O", "O", "O", "O", "O", "O", "O", "O", "O", "O", "O", "O", "O", "O", "O", "O", "O", "O", "O", "O", "O", "O", "O", "O", "O", "O", "O", "O", "O", "O", "O", "O", "O", "O", "O", "O", "O", "O", "O", "O", "O", "O", "O", "O", "O", "O"],
  "fractional_positions": [[0.061, 0.034, 0.181], [0.061, 0.466, 0.681], [0.185, 0.031, 0.565], [0.185, 0.469, 0.065], [0.317, 0.531, 0.434], [0.317, 0.969, 0.934], [0.430, 0.532, 0.814], [0.430, 0.968, 0.314], [0.570, 0.032, 0.686], [0.570, 0.468, 0.186], [0.683, 0.031, 0.066], [0.683, 0.469, 0.566], [0.815, 0.531, 0.935], [0.815, 0.969, 0.435], [0.939, 0.534, 0.319], [0.939, 0.966, 0.819], [0.018, 0.746, 0.015], [0.018, 0.754, 0.515], [0.126, 0.120, 0.771], [0.126, 0.380, 0.271], [0.228, 0.619, 0.872], [0.228, 0.881, 0.372], [0.264, 0.110, 0.122], [0.264, 0.390, 0.622], [0.380, 0.615, 0.232], [0.380, 0.885, 0.732], [0.487, 0.246, 0.490], [0.487, 0.254, 0.990], [0.513, 0.746, 0.010], [0.513, 0.754, 0.510], [0.620, 0.115, 0.268], [0.620, 0.385, 0.768], [0.736, 0.610, 0.378], [0.736, 0.890, 0.878], [0.772, 0.119, 0.628], [0.772, 0.381, 0.128], [0.874, 0.620, 0.729], [0.874, 0.880, 0.229], [0.982, 0.246, 0.485], [0.982, 0.254, 0.985], [0.009, 0.676, 0.412], [0.009, 0.824, 0.912], [0.016, 0.621, 0.593], [0.016, 0.879, 0.093], [0.038, 0.008, 0.774], [0.038, 0.492, 0.274], [0.072, 0.131, 0.497], [0.072, 0.369, 0.997], [0.097, 0.198, 0.266], [0.097, 0.302, 0.766], [0.118, 0.652, 0.054], [0.118, 0.848, 0.554], [0.141, 0.597, 0.771], [0.141, 0.903, 0.271], [0.155, 0.075, 0.677], [0.155, 0.425, 0.177], [0.163, 0.062, 0.135], [0.163, 0.438, 0.635], [0.210, 0.512, 0.955], [0.210, 0.988, 0.455], [0.218, 0.096, 0.867], [0.218, 0.404, 0.367], [0.235, 0.699, 0.402], [0.235, 0.801, 0.902], [0.255, 0.212, 0.584], [0.255, 0.288, 0.084], [0.286, 0.504, 0.543], [0.286, 0.996, 0.043], [0.294, 0.571, 0.134], [0.294, 0.929, 0.634], [0.330, 0.569, 0.860], [0.330, 0.931, 0.360], [0.350, 0.097, 0.225], [0.350, 0.403, 0.725], [0.350, 0.565, 0.325], [0.350, 0.935, 0.825], [0.396, 0.137, 0.963], [0.396, 0.363, 0.463], [0.396, 0.698, 0.733], [0.396, 0.802, 0.233], [0.415, 0.659, 0.500], [0.415, 0.841, 0.000], [0.472, 0.119, 0.405], [0.472, 0.381, 0.905], [0.476, 0.519, 0.234], [0.476, 0.981, 0.734], [0.496, 0.165, 0.593], [0.496, 0.335, 0.093], [0.504, 0.665, 0.907], [0.504, 0.835, 0.407], [0.524, 0.019, 0.266], [0.524, 0.481, 0.766], [0.528, 0.619, 0.095], [0.528, 0.881, 0.595], [0.585, 0.159, 0.000], [0.585, 0.341, 0.500], [0.604, 0.198, 0.767], [0.604, 0.302, 0.267], [0.604, 0.637, 0.537], [0.604, 0.863, 0.037], [0.650, 0.065, 0.175], [0.650, 0.435, 0.675], [0.650, 0.597, 0.275], [0.650, 0.903, 0.775], [0.670, 0.069, 0.640], [0.670, 0.431, 0.140], [0.706, 0.071, 0.366], [0.706, 0.429, 0.866], [0.714, 0.004, 0.957], [0.714, 0.496, 0.457], [0.745, 0.712, 0.916], [0.745, 0.788, 0.416], [0.765, 0.199, 0.098], [0.765, 0.301, 0.598], [0.782, 0.596, 0.633], [0.782, 0.904, 0.133], [0.790, 0.012, 0.545], [0.790, 0.488, 0.045], [0.837, 0.562, 0.365], [0.837, 0.938, 0.865], [0.845, 0.575, 0.823], [0.845, 0.925, 0.323], [0.859, 0.097, 0.729], [0.859, 0.403, 0.229], [0.882, 0.152, 0.446], [0.882, 0.348, 0.946], [0.903, 0.698, 0.234], [0.903, 0.802, 0.734], [0.928, 0.631, 0.003], [0.928, 0.869, 0.503], [0.962, 0.508, 0.726], [0.962, 0.992, 0.226], [0.984, 0.121, 0.907], [0.984, 0.379, 0.407], [0.991, 0.176, 0.088], [0.991, 0.324, 0.588]]
}


{
  "formula": "Fe2Mo3O8",
  "functional": "PBE+U",
  "state": "optimized geometry",
  "ef_mev_per_atom": -1680,
  "volume_a3_per_fu": 162.6,
  "sg": "P6_3mc",
  "magmom_total_mub_per_cell": 36.01,
  "lattice_angstrom": [[6.313, 0.000, 0.000], [-3.157, 5.467, 0.000], [0.000, 0.000, 9.424]],
  "species": ["Fe", "Fe", "Fe", "Fe", "Mo", "Mo", "Mo", "Mo", "Mo", "Mo", "O", "O", "O", "O", "O", "O", "O", "O", "O", "O", "O", "O", "O", "O", "O", "O"],
  "fractional_positions": [[0.333, 0.667, 0.000], [0.333, 0.667, 0.376], [0.667, 0.333, 0.500], [0.667, 0.333, 0.876], [0.165, 0.329, 0.705], [0.165, 0.835, 0.705], [0.329, 0.165, 0.205], [0.671, 0.835, 0.705], [0.835, 0.165, 0.205], [0.835, 0.671, 0.205], [0.000, 0.000, 0.312], [0.000, 0.000, 0.812], [0.024, 0.512, 0.844], [0.175, 0.350, 0.102], [0.175, 0.825, 0.102], [0.333, 0.667, 0.581], [0.350, 0.175, 0.602], [0.488, 0.512, 0.844], [0.488, 0.976, 0.844], [0.512, 0.024, 0.344], [0.512, 0.488, 0.344], [0.650, 0.825, 0.102], [0.667, 0.333, 0.081], [0.825, 0.175, 0.602], [0.825, 0.650, 0.602], [0.976, 0.488, 0.344]]
}


{
  "formula": "Fe2Mo3O12",
  "functional": "PBE+U",
  "state": "optimized geometry",
  "ef_mev_per_atom": -1898,
  "volume_a3_per_fu": 297.8,
  "e_above_lowest_polymorph_mev_per_atom": 0.0,
  "sg": "Pbcn",
  "magmom_total_mub_per_cell": 40.00,
  "lattice_angstrom": [[13.183, 0.000, 0.000], [0.000, 9.463, 0.000], [0.000, 0.000, 9.548]],
  "species": ["Fe", "Fe", "Fe", "Fe", "Fe", "Fe", "Fe", "Fe", "Mo", "Mo", "Mo", "Mo", "Mo", "Mo", "Mo", "Mo", "Mo", "Mo", "Mo", "Mo", "O", "O", "O", "O", "O", "O", "O", "O", "O", "O", "O", "O", "O", "O", "O", "O", "O", "O", "O", "O", "O", "O", "O", "O", "O", "O", "O", "O", "O", "O", "O", "O", "O", "O", "O", "O", "O", "O", "O", "O", "O", "O", "O", "O", "O", "O", "O", "O"],
  "fractional_positions": [[0.119, 0.250, 0.034], [0.119, 0.750, 0.534], [0.381, 0.250, 0.534], [0.381, 0.750, 0.034], [0.619, 0.250, 0.966], [0.619, 0.750, 0.466], [0.881, 0.250, 0.466], [0.881, 0.750, 0.966], [0.000, 0.027, 0.750], [0.000, 0.973, 0.250], [0.145, 0.395, 0.384], [0.145, 0.605, 0.884], [0.355, 0.105, 0.884], [0.355, 0.895, 0.384], [0.500, 0.473, 0.250], [0.500, 0.527, 0.750], [0.645, 0.105, 0.616], [0.645, 0.895, 0.116], [0.855, 0.395, 0.116], [0.855, 0.605, 0.616], [0.025, 0.321, 0.430], [0.025, 0.679, 0.930], [0.066, 0.135, 0.873], [0.066, 0.865, 0.373], [0.090, 0.083, 0.162], [0.090, 0.917, 0.662], [0.142, 0.417, 0.909], [0.142, 0.583, 0.409], [0.169, 0.360, 0.202], [0.169, 0.640, 0.702], [0.241, 0.318, 0.492], [0.241, 0.682, 0.992], [0.259, 0.182, 0.992], [0.259, 0.818, 0.492], [0.331, 0.140, 0.702], [0.331, 0.860, 0.202], [0.358, 0.083, 0.409], [0.358, 0.917, 0.909], [0.410, 0.417, 0.662], [0.410, 0.583, 0.162], [0.434, 0.365, 0.373], [0.434, 0.635, 0.873], [0.475, 0.179, 0.930], [0.475, 0.821, 0.430], [0.525, 0.179, 0.570], [0.525, 0.821, 0.070], [0.566, 0.365, 0.127], [0.566, 0.635, 0.627], [0.590, 0.417, 0.838], [0.590, 0.583, 0.338], [0.642, 0.083, 0.091], [0.642, 0.917, 0.591], [0.669, 0.140, 0.798], [0.669, 0.860, 0.298], [0.741, 0.182, 0.508], [0.741, 0.818, 0.008], [0.759, 0.318, 0.008], [0.759, 0.682, 0.508], [0.831, 0.360, 0.298], [0.831, 0.640, 0.798], [0.858, 0.417, 0.591], [0.858, 0.583, 0.091], [0.910, 0.083, 0.338], [0.910, 0.917, 0.838], [0.934, 0.135, 0.627], [0.934, 0.865, 0.127], [0.975, 0.321, 0.070], [0.975, 0.679, 0.570]]
}


{
  "formula": "Fe2Mo4O7",
  "functional": "PBE+U",
  "state": "optimized geometry",
  "ef_mev_per_atom": -1206,
  "volume_a3_per_fu": 167.3,
  "e_above_lowest_polymorph_mev_per_atom": 61.1,
  "sg": "Imma",
  "magmom_total_mub_per_cell": 36.00,
  "lattice_angstrom": [[-3.015, 3.126, 8.876], [3.015, -3.126, 8.876], [3.015, 3.126, -8.876]],
  "species": ["Fe", "Fe", "Fe", "Fe", "Mo", "Mo", "Mo", "Mo", "Mo", "Mo", "Mo", "Mo", "O", "O", "O", "O", "O", "O", "O", "O", "O", "O", "O", "O", "O", "O"],
  "fractional_positions": [[0.000, 0.000, 0.500], [0.000, 0.500, 0.000], [0.445, 0.195, 0.250], [0.555, 0.805, 0.750], [0.123, 0.621, 0.502], [0.248, 0.262, 0.514], [0.248, 0.735, 0.986], [0.381, 0.379, 0.002], [0.619, 0.621, 0.998], [0.752, 0.265, 0.014], [0.752, 0.738, 0.486], [0.877, 0.379, 0.498], [0.000, 0.000, 0.000], [0.131, 0.142, 0.511], [0.131, 0.621, 0.989], [0.220, 0.737, 0.483], [0.245, 0.263, 0.983], [0.368, 0.370, 0.502], [0.368, 0.866, 0.998], [0.500, 0.000, 0.500], [0.632, 0.134, 0.002], [0.632, 0.630, 0.498], [0.755, 0.737, 0.017], [0.780, 0.263, 0.517], [0.869, 0.379, 0.011], [0.869, 0.858, 0.489]]
}